Nb3Ge after structural relaxation, computed with r2SCAN.

## Properties
Its formation energy is -311 meV/atom. The value obtained for the uncorrected energy is -22.330 eV/atom.

Cell lengths 5.172, 5.172, 5.172 Å; angles 90.00, 90.00, 90.00 degrees
Positions (direct):
Nb1 0.000 0.250 0.500
Nb2 0.000 0.750 0.500
Nb3 0.250 0.500 0.000
Nb4 0.500 0.000 0.250
Nb5 0.500 0.000 0.750
Nb6 0.750 0.500 0.000
Ge1 0.000 0.000 0.000
Ge2 0.500 0.500 0.500

Co2CuS4 after structural relaxation, computed with r2SCAN.

## Properties
Its formation energy is -503 meV/atom. The value obtained for the uncorrected energy is -10.425 eV/atom.

Cell lengths 6.662, 6.662, 6.662 Å; angles 60.00, 60.00, 60.00 degrees
Positions (direct):
Co1 0.000 0.000 0.000
Co2 0.000 0.000 0.500
Co3 0.000 0.500 0.000
Co4 0.500 0.000 0.000
Cu1 0.375 0.375 0.375
Cu2 0.625 0.625 0.625
S1 0.214 0.762 0.762
S2 0.238 0.238 0.238
S3 0.238 0.238 0.786
S4 0.238 0.786 0.238
S5 0.762 0.214 0.762
S6 0.762 0.762 0.214
S7 0.762 0.762 0.762
S8 0.786 0.238 0.238

Tb2MnGa6 after structural relaxation, computed with r2SCAN.

## Properties
Its formation energy is -619 meV/atom. The value obtained for the uncorrected energy is -16.818 eV/atom.

Cell lengths 6.165, 6.165, 6.165 Å; angles 60.00, 60.00, 60.00 degrees
Positions (direct):
Tb1 0.250 0.250 0.250
Tb2 0.750 0.750 0.750
Mn1 0.000 0.000 0.000
Ga1 0.283 0.283 0.717
Ga2 0.283 0.717 0.283
Ga3 0.283 0.717 0.717
Ga4 0.717 0.283 0.283
Ga5 0.717 0.283 0.717
Ga6 0.717 0.717 0.283

Ca5In2Sb6 after structural relaxation, computed with r2SCAN.

## Properties
Its formation energy is -924 meV/atom. The value obtained for the uncorrected energy is -18.969 eV/atom.

Cell lengths 12.184, 14.331, 4.594 Å; angles 90.00, 90.00, 90.00 degrees
Positions (direct):
Ca1 0.000 0.000 0.000
Ca2 0.091 0.248 0.000
Ca3 0.178 0.514 0.000
Ca4 0.322 0.014 0.000
Ca5 0.409 0.748 0.000
Ca6 0.500 0.500 0.000
Ca7 0.591 0.252 0.000
Ca8 0.678 0.986 0.000
Ca9 0.822 0.486 0.000
Ca10 0.909 0.752 0.000
In1 0.164 0.713 0.500
In2 0.336 0.213 0.500
In3 0.664 0.787 0.500
In4 0.836 0.287 0.500
Sb1 0.036 0.405 0.500
Sb2 0.151 0.094 0.500
Sb3 0.162 0.829 0.000
Sb4 0.338 0.329 0.000
Sb5 0.349 0.594 0.500
Sb6 0.464 0.905 0.500
Sb7 0.536 0.095 0.500
Sb8 0.651 0.406 0.500
Sb9 0.662 0.671 0.000
Sb10 0.838 0.171 0.000
Sb11 0.849 0.906 0.500
Sb12 0.964 0.595 0.500

Nd2Mo4O15 after structural relaxation, computed with r2SCAN.

## Properties
Its formation energy is -2622 meV/atom. The value obtained for the uncorrected energy is -14.655 eV/atom.

Cell lengths 9.502, 11.047, 11.589 Å; angles 104.21, 109.78, 108.87 degrees
Positions (direct):
Nd1 0.166 0.342 0.201
Nd2 0.267 0.778 0.826
Nd3 0.282 0.943 0.408
Nd4 0.718 0.057 0.592
Nd5 0.733 0.222 0.174
Nd6 0.834 0.658 0.799
Mo1 0.031 0.434 0.868
Mo2 0.085 0.224 0.482
Mo3 0.232 0.018 0.078
Mo4 0.409 0.466 0.818
Mo5 0.416 0.690 0.553
Mo6 0.433 0.133 0.796
Mo7 0.567 0.867 0.204
Mo8 0.584 0.310 0.447
Mo9 0.591 0.534 0.182
Mo10 0.768 0.982 0.922
Mo11 0.915 0.776 0.518
Mo12 0.969 0.566 0.132
O1 0.026 0.268 0.341
O2 0.051 0.575 0.811
O3 0.082 0.835 0.480
O4 0.095 0.448 0.040
O5 0.115 0.858 0.933
O6 0.157 0.099 0.451
O7 0.161 0.711 0.242
O8 0.165 0.144 0.050
O9 0.173 0.386 0.832
O10 0.211 0.986 0.213
O11 0.252 0.380 0.620
O12 0.276 0.691 0.621
O13 0.283 0.993 0.799
O14 0.316 0.538 0.408
O15 0.352 0.255 0.775
O16 0.383 0.788 0.054
O17 0.390 0.618 0.833
O18 0.398 0.299 0.332
O19 0.412 0.499 0.200
O20 0.442 0.077 0.108
O21 0.466 0.840 0.513
O22 0.470 0.068 0.659
O23 0.500 0.500 0.000
O24 0.530 0.932 0.341
O25 0.534 0.160 0.487
O26 0.558 0.923 0.892
O27 0.588 0.501 0.800
O28 0.602 0.701 0.668
O29 0.610 0.382 0.167
O30 0.617 0.212 0.946
O31 0.648 0.745 0.225
O32 0.684 0.462 0.592
O33 0.717 0.007 0.201
O34 0.724 0.309 0.379
O35 0.748 0.620 0.380
O36 0.789 0.014 0.787
O37 0.827 0.614 0.168
O38 0.835 0.856 0.950
O39 0.839 0.289 0.758
O40 0.843 0.901 0.549
O41 0.885 0.142 0.067
O42 0.905 0.552 0.960
O43 0.918 0.165 0.520
O44 0.949 0.425 0.189
O45 0.974 0.732 0.659

Ag2P2H2O7 after structural relaxation, computed with r2SCAN.

## Properties
Its formation energy is -1593 meV/atom. The value obtained for the uncorrected energy is -10.011 eV/atom.

Cell lengths 15.051, 14.196, 7.070 Å; angles 82.85, 69.37, 27.78 degrees
Positions (direct):
Ag1 0.134 0.213 0.334
Ag2 0.181 0.666 0.787
Ag3 0.213 0.134 0.819
Ag4 0.334 0.819 0.134
Ag5 0.666 0.181 0.866
Ag6 0.787 0.866 0.181
Ag7 0.819 0.334 0.213
Ag8 0.866 0.787 0.666
P1 0.146 0.749 0.315
P2 0.251 0.854 0.711
P3 0.289 0.315 0.749
P4 0.315 0.289 0.146
P5 0.685 0.711 0.854
P6 0.711 0.685 0.251
P7 0.749 0.146 0.289
P8 0.854 0.251 0.685
H1 0.193 0.557 0.193
H2 0.260 0.260 0.490
H3 0.443 0.807 0.443
H4 0.490 0.490 0.260
H5 0.510 0.510 0.740
H6 0.557 0.193 0.557
H7 0.740 0.740 0.510
H8 0.807 0.443 0.807
O1 0.025 0.807 0.547
O2 0.028 0.028 0.722
O3 0.121 0.547 0.807
O4 0.133 0.530 0.252
O5 0.193 0.975 0.879
O6 0.241 0.274 0.668
O7 0.252 0.585 0.133
O8 0.274 0.241 0.316
O9 0.278 0.278 0.972
O10 0.316 0.668 0.274
O11 0.332 0.684 0.759
O12 0.415 0.748 0.470
O13 0.453 0.879 0.975
O14 0.470 0.867 0.415
O15 0.530 0.133 0.585
O16 0.547 0.121 0.025
O17 0.585 0.252 0.530
O18 0.668 0.316 0.241
O19 0.684 0.332 0.726
O20 0.722 0.722 0.028
O21 0.726 0.759 0.684
O22 0.748 0.415 0.867
O23 0.759 0.726 0.332
O24 0.807 0.025 0.121
O25 0.867 0.470 0.748
O26 0.879 0.453 0.193
O27 0.972 0.972 0.278
O28 0.975 0.193 0.453

B8O after structural relaxation, computed with r2SCAN.

## Properties
Its formation energy is -569 meV/atom. The value obtained for the uncorrected energy is -7.763 eV/atom.

Cell lengths 5.122, 5.305, 7.341 Å; angles 90.00, 92.46, 90.00 degrees
Positions (direct):
B1 0.000 0.000 0.000
B2 0.001 0.261 0.846
B3 0.001 0.739 0.846
B4 0.270 0.000 0.582
B5 0.284 0.262 0.723
B6 0.284 0.738 0.723
B7 0.306 0.165 0.956
B8 0.306 0.835 0.956
B9 0.320 0.500 0.280
B10 0.476 0.000 0.787
B11 0.483 0.331 0.112
B12 0.483 0.669 0.112
B13 0.515 0.235 0.341
B14 0.515 0.765 0.341
B15 0.530 0.500 0.482
B16 0.772 0.500 0.077
B17 0.796 0.220 0.209
B18 0.796 0.780 0.209
B19 0.805 0.000 0.785
B20 0.824 0.330 0.444
B21 0.824 0.670 0.444
B22 0.977 0.166 0.615
B23 0.977 0.834 0.615
B24 0.991 0.500 0.276
O1 0.394 0.000 0.403
O2 0.406 0.500 0.662
O3 0.885 0.500 0.899

PmDyIn2 after structural relaxation, computed with r2SCAN.

## Properties
Its formation energy is -610 meV/atom. The value obtained for the uncorrected energy is -27.280 eV/atom.

Cell lengths 5.357, 5.357, 5.357 Å; angles 60.00, 60.00, 60.00 degrees
Positions (direct):
Pm1 0.000 0.000 0.000
Dy1 0.500 0.500 0.500
In1 0.250 0.250 0.250
In2 0.750 0.750 0.750

HoFeC2 after structural relaxation, computed with r2SCAN.

## Properties
Its formation energy is -295 meV/atom. The value obtained for the uncorrected energy is -17.093 eV/atom.

Cell lengths 3.576, 3.738, 3.738 Å; angles 74.38, 90.00, 90.00 degrees
Positions (direct):
Ho1 0.000 0.000 0.000
Fe1 0.500 0.600 0.600
C1 0.500 0.135 0.447
C2 0.500 0.447 0.135

TeRh after structural relaxation, computed with r2SCAN.

## Properties
Its formation energy is -352 meV/atom. The value obtained for the uncorrected energy is -25.129 eV/atom.

Cell lengths 4.027, 4.027, 5.694 Å; angles 90.00, 90.00, 120.00 degrees
Positions (direct):
Te1 0.333 0.667 0.250
Te2 0.667 0.333 0.750
Rh1 0.000 0.000 0.000
Rh2 0.000 0.000 0.500

CeSnIr after structural relaxation, computed with r2SCAN.

## Properties
Its formation energy is -925 meV/atom. The value obtained for the uncorrected energy is -36.907 eV/atom.

Cell lengths 7.467, 7.467, 4.075 Å; angles 90.00, 90.00, 120.00 degrees
Positions (direct):
Ce1 0.000 0.587 0.000
Ce2 0.413 0.413 0.000
Ce3 0.587 0.000 0.000
Sn1 0.000 0.253 0.500
Sn2 0.253 0.000 0.500
Sn3 0.747 0.747 0.500
Ir1 0.000 0.000 0.000
Ir2 0.333 0.667 0.500
Ir3 0.667 0.333 0.500

CsMnO4 after structural relaxation, computed with r2SCAN.

## Properties
Its formation energy is -1589 meV/atom. The value obtained for the uncorrected energy is -12.202 eV/atom.

Cell lengths 9.955, 5.789, 7.953 Å; angles 90.00, 90.00, 90.00 degrees
Positions (direct):
Cs1 0.189 0.250 0.153
Cs2 0.311 0.750 0.653
Cs3 0.689 0.250 0.347
Cs4 0.811 0.750 0.847
Mn1 0.051 0.250 0.706
Mn2 0.449 0.750 0.206
Mn3 0.551 0.250 0.794
Mn4 0.949 0.750 0.294
O1 0.079 0.024 0.818
O2 0.079 0.476 0.818
O3 0.103 0.750 0.352
O4 0.149 0.250 0.546
O5 0.351 0.750 0.046
O6 0.397 0.250 0.852
O7 0.421 0.524 0.318
O8 0.421 0.976 0.318
O9 0.579 0.024 0.682
O10 0.579 0.476 0.682
O11 0.603 0.750 0.148
O12 0.649 0.250 0.954
O13 0.851 0.750 0.454
O14 0.897 0.250 0.648
O15 0.921 0.524 0.182
O16 0.921 0.976 0.182

MgH6N2Cl2 after structural relaxation, computed with r2SCAN.

## Properties
Its formation energy is -916 meV/atom. The value obtained for the uncorrected energy is -5.958 eV/atom.

Cell lengths 6.865, 6.865, 6.865 Å; angles 113.97, 107.28, 107.27 degrees
Positions (direct):
Mg1 0.496 0.246 0.250
Mg2 0.504 0.754 0.750
H1 0.083 0.654 0.429
H2 0.114 0.065 0.834
H3 0.114 0.280 0.049
H4 0.269 0.720 0.334
H5 0.269 0.935 0.549
H6 0.275 0.346 0.929
H7 0.725 0.654 0.071
H8 0.731 0.065 0.451
H9 0.731 0.280 0.666
H10 0.886 0.720 0.951
H11 0.886 0.935 0.166
H12 0.917 0.346 0.571
N1 0.221 0.235 0.986
N2 0.251 0.765 0.486
N3 0.749 0.235 0.514
N4 0.779 0.765 0.014
Cl1 0.286 0.293 0.508
Cl2 0.286 0.778 0.992
Cl3 0.714 0.222 0.008
Cl4 0.714 0.707 0.492

MnPt3O6 after structural relaxation, computed with r2SCAN.

## Properties
Its formation energy is -960 meV/atom. The value obtained for the uncorrected energy is -21.458 eV/atom.

Cell lengths 6.161, 6.161, 3.197 Å; angles 90.00, 90.00, 109.14 degrees
Positions (direct):
Mn1 0.000 0.000 0.000
Pt1 0.000 0.500 0.500
Pt2 0.500 0.000 0.500
Pt3 0.500 0.500 0.000
O1 0.151 0.849 0.500
O2 0.161 0.416 0.000
O3 0.416 0.161 0.000
O4 0.584 0.839 0.000
O5 0.839 0.584 0.000
O6 0.849 0.151 0.500

DyGaNi after structural relaxation, computed with r2SCAN.

## Properties
Its formation energy is -677 meV/atom. The value obtained for the uncorrected energy is -19.146 eV/atom.

Cell lengths 6.838, 4.287, 7.195 Å; angles 90.00, 90.00, 90.00 degrees
Positions (direct):
Dy1 0.019 0.250 0.197
Dy2 0.481 0.750 0.697
Dy3 0.519 0.250 0.303
Dy4 0.981 0.750 0.803
Ga1 0.178 0.250 0.581
Ga2 0.322 0.750 0.081
Ga3 0.678 0.250 0.919
Ga4 0.822 0.750 0.419
Ni1 0.206 0.750 0.409
Ni2 0.294 0.250 0.909
Ni3 0.706 0.750 0.091
Ni4 0.794 0.250 0.591